The following is a PBE calculation of an optimized crystal structure of CoB, from the Materials Project.

It has space group Pnma (No. 62), with a = 5.169 Å, b = 3.065 Å, c = 3.922 Å, α = 90.00°, β = 90.00° and γ = 90.00°. The asymmetric unit holds Co at (0.177, 0.250, 0.127) and B at (0.032, 0.250, 0.624).

For the formation enthalpy at 0 K, the calculation gives -0.402 eV/atom. The value obtained for the calculated volume is 15.5 Å³/f.u.